## Pb4Au (PBE)

Data for Pb4Au after structural relaxation.

Output
Energy of formation = 22 kJ/mol of atoms
Magnetic moment = 0.00 μB per cell
Uncorrected energy = -3.398 eV per atom
Mass density = 9.926 g/cm3

abc: 7.859 7.859 7.859
angles: 60.00 60.00 60.00
Fractional coordinates of all 10 atoms:
Pb 0.185 0.772 0.772
Pb 0.228 0.228 0.228
Pb 0.228 0.228 0.815
Pb 0.228 0.815 0.228
Pb 0.772 0.185 0.772
Pb 0.772 0.772 0.185
Pb 0.772 0.772 0.772
Pb 0.815 0.228 0.228
Au 0.375 0.375 0.375
Au 0.625 0.625 0.625



## Pr4AsBrO8 (PBE)

Data for Pr4AsBrO8 after structural relaxation.

Output
Energy of formation = -312 kJ/mol of atoms
Uncorrected energy = -7.483 eV per atom
Mass density = 5.859 g/cm3

abc: 8.458 8.458 13.414
angles: 90.00 90.00 90.00
Fractional coordinates of all 56 atoms:
Pr 0.013 0.244 0.168
Pr 0.013 0.244 0.832
Pr 0.244 0.987 0.332
Pr 0.244 0.987 0.668
Pr 0.245 0.517 0.331
Pr 0.245 0.517 0.669
Pr 0.483 0.245 0.169
Pr 0.483 0.245 0.831
Pr 0.517 0.755 0.169
Pr 0.517 0.755 0.831
Pr 0.755 0.483 0.331
Pr 0.755 0.483 0.669
Pr 0.756 0.013 0.332
Pr 0.756 0.013 0.668
Pr 0.987 0.756 0.168
Pr 0.987 0.756 0.832
As 0.043 0.252 0.500
As 0.252 0.957 0.000
As 0.748 0.043 0.000
As 0.957 0.748 0.500
Br 0.253 0.444 0.000
Br 0.444 0.747 0.500
Br 0.556 0.253 0.500
Br 0.747 0.556 0.000
O 0.000 0.000 0.250
O 0.000 0.000 0.750
O 0.000 0.500 0.239
O 0.000 0.500 0.761
O 0.072 0.748 0.395
O 0.072 0.748 0.605
O 0.086 0.836 0.000
O 0.164 0.086 0.500
O 0.165 0.418 0.500
O 0.249 0.257 0.270
O 0.249 0.257 0.730
O 0.252 0.072 0.105
O 0.252 0.072 0.895
O 0.257 0.751 0.230
O 0.257 0.751 0.770
O 0.418 0.835 0.000
O 0.500 0.000 0.261
O 0.500 0.000 0.739
O 0.500 0.500 0.250
O 0.500 0.500 0.750
O 0.582 0.165 0.000
O 0.743 0.249 0.230
O 0.743 0.249 0.770
O 0.748 0.928 0.105
O 0.748 0.928 0.895
O 0.751 0.743 0.270
O 0.751 0.743 0.730
O 0.835 0.582 0.500
O 0.836 0.914 0.500
O 0.914 0.164 0.000
O 0.928 0.252 0.395
O 0.928 0.252 0.605



## Lu3Co (PBE)

Data for Lu3Co after structural relaxation.

Output
Energy of formation = -21 kJ/mol of atoms
Magnetic moment = 0.00 μB per cell
Uncorrected energy = -5.384 eV per atom
Mass density = 10.193 g/cm3

abc: 6.824 9.108 6.121
angles: 90.00 90.00 90.00
Fractional coordinates of all 16 atoms:
Lu 0.040 0.250 0.134
Lu 0.177 0.065 0.677
Lu 0.177 0.435 0.677
Lu 0.323 0.565 0.177
Lu 0.323 0.935 0.177
Lu 0.460 0.750 0.634
Lu 0.540 0.250 0.366
Lu 0.677 0.065 0.823
Lu 0.677 0.435 0.823
Lu 0.823 0.565 0.323
Lu 0.823 0.935 0.323
Lu 0.960 0.750 0.866
Co 0.111 0.750 0.451
Co 0.389 0.250 0.951
Co 0.611 0.750 0.049
Co 0.889 0.250 0.549



## Ga3Pb (PBE)

Data for Ga3Pb after structural relaxation.

Output
Energy of formation = 9 kJ/mol of atoms
Magnetic moment = 0.00 μB per cell
Uncorrected energy = -3.106 eV per atom
Mass density = 7.396 g/cm3

abc: 7.204 7.204 7.204
angles: 90.00 90.00 90.00
Fractional coordinates of all 16 atoms:
Ga 0.000 0.000 0.000
Ga 0.000 0.500 0.500
Ga 0.250 0.250 0.250
Ga 0.250 0.250 0.750
Ga 0.250 0.750 0.250
Ga 0.250 0.750 0.750
Ga 0.500 0.000 0.500
Ga 0.500 0.500 0.000
Ga 0.750 0.250 0.250
Ga 0.750 0.250 0.750
Ga 0.750 0.750 0.250
Ga 0.750 0.750 0.750
Pb 0.000 0.000 0.500
Pb 0.000 0.500 0.000
Pb 0.500 0.000 0.000
Pb 0.500 0.500 0.500



## Na3ZnInP2SO12 (PBE)

Data for Na3ZnInP2SO12 after structural relaxation.

Output
Energy of formation = -225 kJ/mol of atoms
Magnetic moment = 0.00 μB per cell
Uncorrected energy = -6.031 eV per atom
Mass density = 3.355 g/cm3

abc: 9.053 9.057 22.381
angles: 89.38 90.00 119.99
Fractional coordinates of all 120 atoms:
Na 0.358 0.353 0.245
Na 0.000 0.631 0.244
Na 0.631 0.631 0.744
Na 0.996 0.353 0.745
Na 0.024 0.687 0.578
Na 0.666 0.964 0.578
Na 0.297 0.964 0.078
Na 0.662 0.687 0.078
Na 0.691 0.020 0.911
Na 0.333 0.297 0.911
Na 0.964 0.297 0.411
Na 0.329 0.020 0.411
Na 0.978 0.983 0.495
Na 0.005 0.983 0.995
Na 0.644 0.317 0.828
Na 0.672 0.317 0.328
Na 0.311 0.650 0.161
Na 0.339 0.650 0.661
Zn 0.989 0.993 0.348
Zn 0.004 0.993 0.848
Zn 0.656 0.326 0.681
Zn 0.671 0.326 0.181
Zn 0.322 0.660 0.015
Zn 0.337 0.660 0.515
In 0.005 0.011 0.653
In 0.006 0.011 0.153
In 0.671 0.344 0.986
In 0.673 0.344 0.486
In 0.338 0.678 0.319
In 0.340 0.678 0.819
P 0.303 0.004 0.251
P 0.000 0.301 0.255
P 0.301 0.301 0.755
P 0.701 0.004 0.751
P 0.969 0.337 0.585
P 0.667 0.634 0.588
P 0.967 0.634 0.088
P 0.368 0.337 0.085
P 0.636 0.671 0.918
P 0.334 0.968 0.922
P 0.634 0.968 0.422
P 0.034 0.671 0.418
S 0.699 0.701 0.250
S 0.001 0.701 0.750
S 0.366 0.034 0.583
S 0.668 0.034 0.083
S 0.033 0.367 0.916
S 0.334 0.367 0.416
O 0.214 0.025 0.307
O 0.808 0.792 0.301
O 0.982 0.199 0.313
O 0.217 0.199 0.813
O 0.984 0.792 0.801
O 0.811 0.025 0.807
O 0.778 0.968 0.694
O 0.188 0.218 0.699
O 0.027 0.797 0.692
O 0.770 0.797 0.192
O 0.030 0.218 0.199
O 0.190 0.968 0.194
O 0.881 0.359 0.640
O 0.475 0.125 0.634
O 0.649 0.532 0.646
O 0.883 0.532 0.146
O 0.650 0.125 0.134
O 0.478 0.359 0.140
O 0.445 0.301 0.027
O 0.854 0.551 0.032
O 0.693 0.130 0.025
O 0.437 0.130 0.525
O 0.697 0.551 0.532
O 0.856 0.301 0.527
O 0.547 0.692 0.974
O 0.142 0.458 0.967
O 0.316 0.866 0.979
O 0.550 0.866 0.479
O 0.317 0.458 0.467
O 0.145 0.692 0.474
O 0.112 0.635 0.361
O 0.521 0.885 0.366
O 0.360 0.463 0.359
O 0.103 0.463 0.859
O 0.364 0.885 0.866
O 0.523 0.635 0.861
O 0.025 0.836 0.411
O 0.817 0.998 0.415
O 0.178 0.196 0.414
O 0.018 0.196 0.914
O 0.181 0.998 0.915
O 0.811 0.836 0.911
O 0.985 0.173 0.587
O 0.189 0.007 0.588
O 0.837 0.815 0.589
O 0.977 0.815 0.089
O 0.818 0.007 0.088
O 0.188 0.173 0.087
O 0.691 0.169 0.744
O 0.483 0.332 0.748
O 0.845 0.530 0.748
O 0.685 0.530 0.248
O 0.848 0.332 0.248
O 0.478 0.169 0.244
O 0.651 0.506 0.921
O 0.856 0.340 0.921
O 0.504 0.148 0.922
O 0.644 0.148 0.422
O 0.484 0.340 0.421
O 0.855 0.506 0.421
O 0.358 0.502 0.078
O 0.150 0.665 0.082
O 0.511 0.863 0.081
O 0.352 0.863 0.581
O 0.515 0.665 0.582
O 0.144 0.502 0.578
O 0.318 0.839 0.254
O 0.522 0.673 0.255
O 0.171 0.481 0.256
O 0.311 0.481 0.756
O 0.151 0.673 0.755
O 0.521 0.839 0.754



## La2ThS5 (PBE)

Data for La2ThS5 after structural relaxation.

Output
Energy of formation = -238 kJ/mol of atoms
Uncorrected energy = -6.901 eV per atom
Mass density = 5.723 g/cm3

abc: 12.166 8.367 7.641
angles: 90.00 90.00 90.00
Fractional coordinates of all 32 atoms:
La 0.177 0.001 0.021
La 0.177 0.499 0.021
La 0.323 0.501 0.521
La 0.323 0.999 0.521
La 0.677 0.001 0.479
La 0.677 0.499 0.479
La 0.823 0.501 0.979
La 0.823 0.999 0.979
Th 0.009 0.250 0.574
Th 0.491 0.750 0.074
Th 0.509 0.250 0.926
Th 0.991 0.750 0.426
S 0.002 0.250 0.955
S 0.098 0.541 0.662
S 0.098 0.959 0.662
S 0.188 0.250 0.332
S 0.216 0.750 0.303
S 0.284 0.250 0.803
S 0.312 0.750 0.832
S 0.402 0.041 0.162
S 0.402 0.459 0.162
S 0.498 0.750 0.455
S 0.502 0.250 0.545
S 0.598 0.541 0.838
S 0.598 0.959 0.838
S 0.688 0.250 0.168
S 0.716 0.750 0.197
S 0.784 0.250 0.697
S 0.812 0.750 0.668
S 0.902 0.041 0.338
S 0.902 0.459 0.338
S 0.998 0.750 0.045